No. 1
# NaAlSiO4 PBE-GGA relaxed
data_NaAlSiO4
_space_group_name_H-M_alt 'P 63'
_space_group_IT_number 173
_cell_length_a 10.0812
_cell_length_b 10.0812
_cell_length_c 8.5314
_cell_angle_alpha 90.00
_cell_angle_beta 90.00
_cell_angle_gamma 120.00
loop_
_space_group_symop_operation_xyz
'x,y,z'
'x-y,x,z+1/2'
'-y,x-y,z'
'-x,-y,z+1/2'
'-x+y,-x,z'
'y,-x+y,z+1/2'
loop_
_atom_site_label
_atom_site_fract_x
_atom_site_fract_y
_atom_site_fract_z
Na1 0.0000 0.0000 0.0000
Na2 0.0130 0.4444 0.0022
Al1 0.0915 0.3311 0.6883
Al2 0.3333 0.6667 0.2012
Si1 0.0912 0.3301 0.3178
Si2 0.3333 0.6667 0.8072
O1 0.0206 0.3094 0.4957
O2 0.0422 0.7784 0.6920
O3 0.0569 0.7792 0.3213
O4 0.1606 0.5081 0.2624
O5 0.1709 0.5230 0.7462
O6 0.3333 0.6667 0.9979
# mass density: 2.513 g cm⁻³
# magnetic moment: 0.00 μB/f.u.
# E_form: -3135.6 meV per atom
# corrected total energy (MP2020 scheme): -0.5484 Ry/atom
# polymorph energy (0 for the lowest one): 1.40 kJ per mole of atoms
# E_tot: -395.890 eV/cell

***

No. 2
# Na2Al2Si3O12 PBE-GGA relaxed
data_Na2Al2Si3O12
_space_group_name_H-M_alt 'F d d 2'
_space_group_IT_number 43
_space_group_name_Hall 'F 2 -2d'
_cell_length_a 18.275
_cell_length_b 18.364
_cell_length_c 6.762
_cell_angle_alpha 90.00
_cell_angle_beta 90.00
_cell_angle_gamma 90.00
loop_
_atom_site_label
_atom_site_fract_x
_atom_site_fract_y
_atom_site_fract_z
Na1 0.028 0.219 0.000
Al1 0.034 0.403 0.239
Si1 0.000 0.000 0.345
Si2 0.098 0.036 0.982
O1 0.018 0.431 0.991
O2 0.034 0.334 0.803
O3 0.047 0.099 0.879
O4 0.066 0.312 0.249
O5 0.071 0.019 0.209
O6 0.098 0.462 0.347
# mass density: 2.202 g cm⁻³
# magnetic moment: 4.00 μB/f.u.
# E_form: -2622.5 meV per atom
# corrected total energy (MP2020 scheme): -0.5246 Ry/atom
# polymorph energy (0 for the lowest one): 0.00 kJ per mole of atoms
# E_tot: -1018.969 eV/cell

***

No. 3
# Na2Al2Si3O12 PBE-GGA relaxed
data_Na2Al2Si3O12
_space_group_name_H-M_alt 'P 1'
_space_group_IT_number 1
_cell_length_a 6.693
_cell_length_b 9.799
_cell_length_c 9.926
_cell_angle_alpha 83.43
_cell_angle_beta 70.48
_cell_angle_gamma 70.09
loop_
_space_group_symop_operation_xyz
'x,y,z'
loop_
_atom_site_label
_atom_site_fract_x
_atom_site_fract_y
_atom_site_fract_z
Na1 0.000 0.000 0.000
Na2 0.180 0.623 0.502
Na3 0.372 0.121 0.129
Na4 0.686 0.500 0.624
Al1 0.069 0.988 0.375
Al2 0.130 0.487 0.252
Al3 0.244 0.635 0.875
Al4 0.808 0.136 0.752
Si1 0.124 0.256 0.486
Si2 0.240 0.868 0.640
Si3 0.295 0.756 0.140
Si4 0.552 0.061 0.564
Si5 0.567 0.368 0.987
Si6 0.799 0.563 0.064
O1 0.026 0.974 0.758
O2 0.081 0.424 0.430
O3 0.131 0.151 0.367
O4 0.186 0.649 0.259
O5 0.187 0.864 0.492
O6 0.193 0.924 0.197
O7 0.205 0.169 0.942
O8 0.236 0.758 0.994
O9 0.305 0.700 0.697
O10 0.363 0.364 0.133
O11 0.367 0.200 0.518
O12 0.460 0.923 0.608
O13 0.471 0.474 0.867
O14 0.559 0.454 0.439
O15 0.568 0.702 0.107
O16 0.599 0.106 0.701
O17 0.687 0.952 0.185
O18 0.695 0.200 0.930
O19 0.751 0.423 0.021
O20 0.780 0.017 0.429
O21 0.823 0.672 0.691
O22 0.890 0.518 0.202
O23 0.920 0.259 0.634
O24 0.984 0.605 0.929
# mass density: 2.166 g cm⁻³
# magnetic moment: 4.00 μB/f.u.
# E_form: -2601.7 meV per atom
# corrected total energy (MP2020 scheme): -0.5231 Ry/atom
# polymorph energy (0 for the lowest one): 2.01 kJ per mole of atoms
# E_tot: -253.952 eV/cell

***

No. 4
# Na2Al2Si3O12 PBE-GGA relaxed
data_Na2Al2Si3O12
_space_group_name_H-M_alt 'F d d 2'
_space_group_IT_number 43
_space_group_name_Hall 'F 2 -2d'
_cell_length_a 18.289
_cell_length_b 18.604
_cell_length_c 6.675
_cell_angle_alpha 90.00
_cell_angle_beta 90.00
_cell_angle_gamma 90.00
loop_
_atom_site_label
_atom_site_fract_x
_atom_site_fract_y
_atom_site_fract_z
Na1 0.029 0.278 0.000
Al1 0.036 0.094 0.745
Si1 0.000 0.000 0.131
Si2 0.097 0.462 0.999
O1 0.017 0.070 0.994
O2 0.043 0.401 0.092
O3 0.068 0.173 0.233
O4 0.068 0.184 0.737
O5 0.072 0.483 0.772
O6 0.099 0.033 0.643
# mass density: 2.200 g cm⁻³
# magnetic moment: 4.00 μB/f.u.
# E_form: -2605.4 meV per atom
# corrected total energy (MP2020 scheme): -0.5234 Ry/atom
# polymorph energy (0 for the lowest one): 1.65 kJ per mole of atoms
# E_tot: -1016.376 eV/cell